Entry 1:
Compound: MnPO4
Source: the Materials Project
Functional: PBE+U
Structure: optimized geometry

```
MnPO4
1.0
5.786 0.000 0.000
0.000 7.419 0.000
-4.518 0.000 8.045
Mn P O
4 4 16
direct
0.179 0.186 0.054 Mn
0.179 0.314 0.554 Mn
0.821 0.686 0.446 Mn
0.821 0.814 0.946 Mn
0.193 0.535 0.268 P
0.193 0.965 0.768 P
0.807 0.035 0.232 P
0.807 0.465 0.732 P
0.018 0.126 0.389 O
0.018 0.374 0.889 O
0.070 0.510 0.390 O
0.070 0.990 0.890 O
0.257 0.157 0.735 O
0.257 0.343 0.235 O
0.444 0.648 0.361 O
0.444 0.852 0.861 O
0.556 0.148 0.139 O
0.556 0.352 0.639 O
0.743 0.657 0.765 O
0.743 0.843 0.265 O
0.930 0.010 0.110 O
0.930 0.490 0.610 O
0.982 0.626 0.111 O
0.982 0.874 0.611 O
```

M_tot: 16.00 μB per cell
E_form: -2.412 eV per atom
SG: P2_1/c


Entry 2:
Compound: Mn2P2O9
Source: the Materials Project
Functional: PBE+U
Structure: optimized geometry

```
Mn2P2O9
1.0
13.838 0.000 0.000
0.000 6.217 0.000
0.000 0.000 7.663
Mn P O
8 8 36
direct
0.000 0.000 0.000 Mn
0.000 0.500 0.000 Mn
0.125 0.250 0.354 Mn
0.375 0.750 0.854 Mn
0.500 0.000 0.500 Mn
0.500 0.500 0.500 Mn
0.625 0.250 0.146 Mn
0.875 0.750 0.646 Mn
0.063 0.750 0.354 P
0.190 0.750 0.896 P
0.310 0.250 0.396 P
0.437 0.250 0.854 P
0.563 0.750 0.146 P
0.690 0.750 0.604 P
0.810 0.250 0.104 P
0.937 0.250 0.646 P
0.014 0.750 0.162 O
0.015 0.250 0.510 O
0.047 0.250 0.138 O
0.126 0.545 0.908 O
0.126 0.955 0.908 O
0.129 0.554 0.356 O
0.129 0.946 0.356 O
0.226 0.250 0.533 O
0.247 0.250 0.226 O
0.253 0.750 0.726 O
0.274 0.750 0.033 O
0.371 0.054 0.856 O
0.371 0.446 0.856 O
0.374 0.045 0.408 O
0.374 0.455 0.408 O
0.453 0.750 0.638 O
0.485 0.750 0.010 O
0.486 0.250 0.662 O
0.514 0.750 0.338 O
0.515 0.250 0.990 O
0.547 0.250 0.362 O
0.626 0.545 0.592 O
0.626 0.955 0.592 O
0.629 0.554 0.144 O
0.629 0.946 0.144 O
0.726 0.250 0.967 O
0.747 0.250 0.274 O
0.753 0.750 0.774 O
0.774 0.750 0.467 O
0.871 0.054 0.644 O
0.871 0.446 0.644 O
0.874 0.045 0.092 O
0.874 0.455 0.092 O
0.953 0.750 0.862 O
0.985 0.750 0.490 O
0.986 0.250 0.838 O
```

M_tot: 24.00 μB per cell
E_form: -2.202 eV per atom
SG: Pnma


Entry 3:
Compound: MnPO4
Source: the Materials Project
Functional: PBE+U
Structure: optimized geometry

```
MnPO4
1.0
8.394 0.000 0.000
0.000 4.862 0.000
-3.120 0.000 8.546
Mn P O
4 4 16
direct
0.014 0.000 0.178 Mn
0.462 0.351 0.743 Mn
0.538 0.851 0.257 Mn
0.986 0.500 0.822 Mn
0.242 0.041 0.929 P
0.248 0.520 0.369 P
0.752 0.020 0.631 P
0.758 0.541 0.071 P
0.095 0.718 0.334 O
0.105 0.209 0.974 O
0.178 0.747 0.884 O
0.190 0.226 0.312 O
0.274 0.191 0.793 O
0.340 0.514 0.548 O
0.369 0.618 0.284 O
0.410 0.034 0.071 O
0.590 0.534 0.929 O
0.631 0.118 0.716 O
0.660 0.014 0.452 O
0.726 0.691 0.207 O
0.810 0.726 0.688 O
0.822 0.247 0.116 O
0.895 0.709 0.026 O
0.905 0.218 0.666 O
```

maximum piezoelectric response: 0.5 C/m2
M_tot: 16.00 μB per cell
E_form: -2.376 eV per atom
SG: P2_1


Entry 4:
Compound: MnP4O12
Source: the Materials Project
Functional: PBE+U
Structure: optimized geometry

```
MnP4O12
1.0
6.245 -4.087 0.000
6.245 4.087 0.000
-4.415 0.000 9.019
Mn P O
2 8 24
direct
0.000 0.500 0.000 Mn
0.500 0.000 0.500 Mn
0.162 0.192 0.686 P
0.192 0.162 0.186 P
0.235 0.749 0.974 P
0.251 0.765 0.526 P
0.749 0.235 0.474 P
0.765 0.251 0.026 P
0.808 0.838 0.814 P
0.838 0.808 0.314 P
0.037 0.835 0.847 O
0.048 0.710 0.423 O
0.159 0.302 0.843 O
0.164 0.678 0.065 O
0.165 0.963 0.653 O
0.190 0.338 0.144 O
0.290 0.952 0.077 O
0.302 0.159 0.343 O
0.322 0.836 0.435 O
0.338 0.190 0.644 O
0.389 0.599 0.600 O
0.401 0.611 0.900 O
0.599 0.389 0.100 O
0.611 0.401 0.400 O
0.662 0.810 0.356 O
0.678 0.164 0.565 O
0.698 0.841 0.657 O
0.710 0.048 0.923 O
0.810 0.662 0.856 O
0.835 0.037 0.347 O
0.836 0.322 0.935 O
0.841 0.698 0.157 O
0.952 0.290 0.577 O
0.963 0.165 0.153 O
```

energy above the most stable polymorph in this dataset: 0.035 eV per atom
M_tot: 6.00 μB per cell
E_form: -2.371 eV per atom
SG: C2/c


Entry 5:
Compound: MnP4O12
Source: the Materials Project
Functional: PBE+U
Structure: optimized geometry

```
MnP4O12
1.0
12.738 0.000 0.000
0.000 8.386 0.000
0.000 0.000 9.014
Mn P O
4 16 48
direct
0.000 0.138 0.250 Mn
0.000 0.862 0.750 Mn
0.500 0.362 0.750 Mn
0.500 0.638 0.250 Mn
0.144 0.313 0.005 P
0.144 0.687 0.505 P
0.150 0.039 0.515 P
0.150 0.961 0.015 P
0.350 0.461 0.015 P
0.350 0.539 0.515 P
0.356 0.187 0.505 P
0.356 0.813 0.005 P
0.644 0.187 0.995 P
0.644 0.813 0.495 P
0.650 0.461 0.485 P
0.650 0.539 0.985 P
0.850 0.039 0.985 P
0.850 0.961 0.485 P
0.856 0.313 0.495 P
0.856 0.687 0.995 P
0.063 0.298 0.130 O
0.063 0.702 0.630 O
0.065 0.031 0.634 O
0.065 0.969 0.134 O
0.118 0.406 0.873 O
0.118 0.594 0.373 O
0.122 0.139 0.380 O
0.122 0.861 0.880 O
0.185 0.133 0.965 O
0.185 0.867 0.465 O
0.250 0.119 0.588 O
0.250 0.381 0.088 O
0.250 0.619 0.588 O
0.250 0.881 0.088 O
0.315 0.367 0.465 O
0.315 0.633 0.965 O
0.378 0.361 0.880 O
0.378 0.639 0.380 O
0.382 0.094 0.373 O
0.382 0.906 0.873 O
0.435 0.469 0.134 O
0.435 0.531 0.634 O
0.437 0.202 0.630 O
0.437 0.798 0.130 O
0.563 0.202 0.870 O
0.563 0.798 0.370 O
0.565 0.469 0.366 O
0.565 0.531 0.866 O
0.618 0.094 0.127 O
0.618 0.906 0.627 O
0.622 0.361 0.620 O
0.622 0.639 0.120 O
0.685 0.367 0.035 O
0.685 0.633 0.535 O
0.750 0.119 0.912 O
0.750 0.381 0.412 O
0.750 0.619 0.912 O
0.750 0.881 0.412 O
0.815 0.133 0.535 O
0.815 0.867 0.035 O
0.878 0.139 0.120 O
0.878 0.861 0.620 O
0.882 0.406 0.627 O
0.882 0.594 0.127 O
0.935 0.031 0.866 O
0.935 0.969 0.366 O
0.937 0.298 0.370 O
0.937 0.702 0.870 O
```

energy above the most stable polymorph in this dataset: 0.000 eV per atom
M_tot: 12.00 μB per cell
E_form: -2.406 eV per atom
SG: Pbcn


Entry 6:
Compound: Mn4P3O12
Source: the Materials Project
Functional: PBE+U
Structure: optimized geometry

```
Mn4P3O12
1.0
6.320 0.000 0.000
0.000 15.220 0.000
0.000 0.000 9.999
Mn P O
16 12 48
direct
0.145 0.118 0.066 Mn
0.145 0.382 0.066 Mn
0.166 0.103 0.660 Mn
0.166 0.397 0.660 Mn
0.334 0.603 0.160 Mn
0.334 0.897 0.160 Mn
0.355 0.618 0.566 Mn
0.355 0.882 0.566 Mn
0.645 0.118 0.434 Mn
0.645 0.382 0.434 Mn
0.666 0.103 0.840 Mn
0.666 0.397 0.840 Mn
0.834 0.603 0.340 Mn
0.834 0.897 0.340 Mn
0.855 0.618 0.934 Mn
0.855 0.882 0.934 Mn
0.012 0.750 0.097 P
0.148 0.067 0.365 P
0.148 0.433 0.365 P
0.352 0.567 0.865 P
0.352 0.933 0.865 P
0.488 0.250 0.597 P
0.512 0.750 0.403 P
0.648 0.067 0.135 P
0.648 0.433 0.135 P
0.852 0.567 0.635 P
0.852 0.933 0.635 P
0.988 0.250 0.903 P
0.039 0.250 0.055 O
0.039 0.593 0.540 O
0.039 0.907 0.540 O
0.090 0.162 0.854 O
0.090 0.338 0.854 O
0.104 0.521 0.289 O
0.104 0.979 0.289 O
0.164 0.560 0.967 O
0.164 0.940 0.967 O
0.197 0.137 0.259 O
0.197 0.363 0.259 O
0.248 0.250 0.627 O
0.252 0.750 0.127 O
0.303 0.637 0.759 O
0.303 0.863 0.759 O
0.336 0.060 0.467 O
0.336 0.440 0.467 O
0.396 0.021 0.789 O
0.396 0.479 0.789 O
0.410 0.662 0.354 O
0.410 0.838 0.354 O
0.461 0.093 0.040 O
0.461 0.407 0.040 O
0.461 0.750 0.555 O
0.539 0.250 0.445 O
0.539 0.593 0.960 O
0.539 0.907 0.960 O
0.590 0.162 0.646 O
0.590 0.338 0.646 O
0.604 0.521 0.211 O
0.604 0.979 0.211 O
0.664 0.560 0.533 O
0.664 0.940 0.533 O
0.697 0.137 0.241 O
0.697 0.363 0.241 O
0.748 0.250 0.873 O
0.752 0.750 0.373 O
0.803 0.637 0.741 O
0.803 0.863 0.741 O
0.836 0.060 0.033 O
0.836 0.440 0.033 O
0.896 0.021 0.711 O
0.896 0.479 0.711 O
0.910 0.662 0.146 O
0.910 0.838 0.146 O
0.961 0.093 0.460 O
0.961 0.407 0.460 O
0.961 0.750 0.945 O
```

energy above the most stable polymorph in this dataset: 0.038 eV per atom
M_tot: 76.00 μB per cell
E_form: -2.452 eV per atom
SG: Pnma


Entry 7:
Compound: Mn3P2O8
Source: the Materials Project
Functional: PBE+U
Structure: optimized geometry

```
Mn3P2O8
1.0
5.256 0.000 0.000
0.000 8.774 0.000
-4.860 0.000 7.892
Mn P O
6 4 16
direct
0.000 0.000 0.000 Mn
0.000 0.500 0.500 Mn
0.026 0.143 0.617 Mn
0.026 0.357 0.117 Mn
0.974 0.643 0.883 Mn
0.974 0.857 0.383 Mn
0.331 0.693 0.298 P
0.331 0.807 0.798 P
0.669 0.193 0.202 P
0.669 0.307 0.702 P
0.184 0.580 0.145 O
0.184 0.920 0.645 O
0.191 0.645 0.738 O
0.191 0.855 0.238 O
0.257 0.645 0.433 O
0.257 0.855 0.933 O
0.328 0.193 0.127 O
0.328 0.307 0.627 O
0.672 0.693 0.373 O
0.672 0.807 0.873 O
0.743 0.145 0.067 O
0.743 0.355 0.567 O
0.809 0.145 0.762 O
0.809 0.355 0.262 O
0.816 0.080 0.355 O
0.816 0.420 0.855 O
```

energy above the most stable polymorph in this dataset: 0.000 eV per atom
E_form: -2.547 eV per atom
SG: P2_1/c


Entry 8:
Compound: MnPO4
Source: the Materials Project
Functional: PBE+U
Structure: optimized geometry

```
MnPO4
1.0
8.614 0.000 0.000
0.000 6.650 0.000
0.000 0.000 4.816
Mn P O
4 4 16
direct
0.000 0.000 0.000 Mn
0.000 0.500 0.000 Mn
0.500 0.000 0.500 Mn
0.500 0.500 0.500 Mn
0.178 0.250 0.461 P
0.322 0.750 0.961 P
0.678 0.250 0.039 P
0.822 0.750 0.539 P
0.124 0.056 0.314 O
0.124 0.250 0.765 O
0.124 0.444 0.314 O
0.138 0.750 0.932 O
0.362 0.250 0.432 O
0.376 0.556 0.814 O
0.376 0.750 0.265 O
0.376 0.944 0.814 O
0.624 0.056 0.186 O
0.624 0.250 0.735 O
0.624 0.444 0.186 O
0.638 0.750 0.568 O
0.862 0.250 0.068 O
0.876 0.556 0.686 O
0.876 0.750 0.235 O
0.876 0.944 0.686 O
```

E_form: -2.442 eV per atom
SG: Pnma